Compound: NaTa2Ga2P5SO24
Source: Materials Project
Functional: PBE-GGA
Structure: optimized geometry

Results
Final energy   -777.2 eV for the cell shown
Size of the total moment   0.00 μB/f.u.

Unit cell a=8.6195 b=8.6355 c=22.3589 alpha=90.18 beta=90.04 gamma=119.89
Fractional positions:
1 Na 0.0000 0.0000 0.0000
2 Na 0.0029 0.0007 0.5070
3 Na 0.6672 0.3336 0.1727
4 Ta 0.0051 0.9998 0.3561
5 Ta 0.3322 0.6654 0.1943
6 Ta 0.3347 0.6677 0.9750
7 Ta 0.3382 0.6727 0.6912
8 Ta 0.6643 0.3385 0.5274
9 Ta 0.6659 0.3330 0.0208
10 Ga 0.9996 0.0007 0.1483
11 Ga 0.3227 0.6563 0.4814
12 Ga 0.6672 0.3252 0.8131
13 Ga 0.6695 0.3449 0.3146
14 Ga 0.9908 0.9972 0.8545
15 Ga 0.9934 0.0038 0.6472
16 P 0.0477 0.6738 0.0848
17 P 0.0518 0.3758 0.5838
18 P 0.2946 0.0125 0.2490
19 P 0.3225 0.9472 0.5828
20 P 0.3262 0.3744 0.0847
21 P 0.3730 0.0493 0.9135
22 P 0.3856 0.3442 0.4168
23 P 0.6221 0.6794 0.5826
24 P 0.6254 0.9526 0.0852
25 P 0.6741 0.6214 0.9130
26 P 0.7202 0.7108 0.2490
27 P 0.7230 0.0108 0.7518
28 P 0.9508 0.3268 0.9140
29 P 0.9575 0.6149 0.4171
30 P 0.9878 0.2803 0.2498
31 S 0.2893 0.2831 0.7513
32 S 0.6596 0.0425 0.4169
33 S 0.9929 0.7116 0.7512
34 O 0.0253 0.1889 0.5914
35 O 0.0264 0.1974 0.3059
36 O 0.0266 0.8371 0.0899
37 O 0.0373 0.8254 0.8049
38 O 0.1328 0.6383 0.1400
39 O 0.1340 0.4955 0.6398
40 O 0.1364 0.4953 0.9274
41 O 0.1439 0.6466 0.4267
42 O 0.1578 0.6917 0.7423
43 O 0.1607 0.4544 0.5277
44 O 0.1609 0.6941 0.0286
45 O 0.1617 0.4673 0.2419
46 O 0.1635 0.1902 0.0897
47 O 0.1647 0.9767 0.5934
48 O 0.1725 0.9731 0.3055
49 O 0.1772 0.2109 0.8048
50 O 0.1865 0.0261 0.9092
51 O 0.1942 0.1693 0.4100
52 O 0.2102 0.0398 0.1936
53 O 0.2111 0.1755 0.6970
54 O 0.2963 0.8372 0.5270
55 O 0.3053 0.8376 0.2418
56 O 0.3057 0.4656 0.7419
57 O 0.3060 0.4671 0.0285
58 O 0.3575 0.8643 0.9273
59 O 0.3598 0.8646 0.6393
60 O 0.3608 0.5027 0.4267
61 O 0.3622 0.4951 0.1401
62 O 0.4639 0.1642 0.9717
63 O 0.4673 0.3008 0.4725
64 O 0.4703 0.3113 0.7584
65 O 0.4810 0.1689 0.2588
66 O 0.4912 0.3623 0.3606
67 O 0.4927 0.1264 0.8601
68 O 0.4963 0.1337 0.5741
69 O 0.4997 0.3611 0.0770
70 O 0.5035 0.6402 0.6392
71 O 0.5055 0.6397 0.9266
72 O 0.5048 0.8674 0.1402
73 O 0.5078 0.8655 0.4252
74 O 0.5315 0.8390 0.7406
75 O 0.5325 0.6965 0.2418
76 O 0.5333 0.8394 0.0287
77 O 0.5399 0.7064 0.5268
78 O 0.6345 0.5027 0.8591
79 O 0.6363 0.5048 0.5758
80 O 0.6372 0.1227 0.3626
81 O 0.6392 0.1391 0.0771
82 O 0.6908 0.5232 0.2561
83 O 0.6917 0.1683 0.7592
84 O 0.6972 0.5313 0.9714
85 O 0.6989 0.1590 0.4707
86 O 0.7945 0.9631 0.8072
87 O 0.8022 0.8296 0.3056
88 O 0.8101 0.9737 0.0899
89 O 0.8117 0.8340 0.5912
90 O 0.8292 0.0282 0.4110
91 O 0.8287 0.3077 0.2585
92 O 0.8304 0.7930 0.1933
93 O 0.8315 0.0361 0.6952
94 O 0.8332 0.5300 0.4725
95 O 0.8351 0.3015 0.9718
96 O 0.8385 0.5332 0.7584
97 O 0.8380 0.8075 0.9112
98 O 0.8610 0.5009 0.0769
99 O 0.8633 0.3589 0.5742
100 O 0.8742 0.5062 0.3608
101 O 0.8747 0.3702 0.8603
102 O 0.9616 0.1712 0.1936
103 O 0.9686 0.7919 0.6969
104 O 0.9700 0.8044 0.4100
105 O 0.9751 0.1642 0.9110